Rb2H4Pd | the Materials Project | PBE | relaxed; raw total energy = -3.23 eV/atom
1.0
5.935 0.000 0.000
0.000 5.935 0.000
0.000 0.000 8.600
Rb H Pd
4 8 2
direct
0.000 0.500 0.250
0.000 0.500 0.750
0.500 0.000 0.250
0.500 0.000 0.750
0.000 0.000 0.193
0.000 0.000 0.807
0.199 0.199 0.000
0.301 0.699 0.500
0.500 0.500 0.307
0.500 0.500 0.693
0.699 0.301 0.500
0.801 0.801 0.000
0.000 0.000 0.000
0.500 0.500 0.500

---

ScH4Pd3 | the Materials Project | PBE | relaxed; raw total energy = -4.74 eV/atom
1.0
4.221 0.000 0.000
0.000 4.221 0.000
0.000 0.000 4.221
Sc H Pd
1 4 3
direct
0.000 0.000 0.000
0.000 0.000 0.500
0.000 0.500 0.000
0.500 0.000 0.000
0.500 0.500 0.500
0.000 0.500 0.500
0.500 0.000 0.500
0.500 0.500 0.000

---

Ti4H3Pd2 | the Materials Project | PBE | relaxed; raw total energy = -6.15 eV/atom
1.0
2.857 0.000 0.000
0.000 2.857 0.000
0.000 0.000 12.653
Ti H Pd
4 3 2
direct
0.000 0.000 0.161
0.000 0.000 0.839
0.500 0.500 0.327
0.500 0.500 0.673
0.500 0.500 0.177
0.500 0.500 0.500
0.500 0.500 0.823
0.000 0.000 0.500
0.500 0.500 0.000